No. 1
{"formula": "Nb2Co4O9", "functional": "PBE+U", "state": "optimized geometry", "lattice": [[5.215, 0.000, 0.000], [2.607, 4.526, 0.000], [0.016, 0.014, 14.313]], "species": ["Nb", "Nb", "Nb", "Nb", "Co", "Co", "Co", "Co", "Co", "Co", "Co", "Co", "O", "O", "O", "O", "O", "O", "O", "O", "O", "O", "O", "O", "O", "O", "O", "O", "O", "O"], "frac_coords": [[0.000, 0.000, 0.000], [0.000, 0.002, 0.216], [0.001, 0.000, 0.499], [0.002, 0.000, 0.716], [0.328, 0.337, 0.046], [0.333, 0.335, 0.844], [0.334, 0.334, 0.552], [0.335, 0.334, 0.343], [0.665, 0.668, 0.369], [0.667, 0.666, 0.163], [0.667, 0.667, 0.871], [0.668, 0.666, 0.662], [0.001, 0.290, 0.607], [0.004, 0.708, 0.108], [0.023, 0.323, 0.942], [0.023, 0.656, 0.441], [0.291, 0.710, 0.607], [0.292, 0.000, 0.107], [0.322, 0.656, 0.941], [0.324, 0.020, 0.441], [0.345, 0.979, 0.773], [0.346, 0.678, 0.273], [0.658, 0.022, 0.941], [0.658, 0.323, 0.441], [0.680, 0.343, 0.773], [0.680, 0.978, 0.274], [0.711, 0.000, 0.607], [0.711, 0.287, 0.108], [0.979, 0.344, 0.274], [0.982, 0.677, 0.774]], "e_tot_ev_per_cell": -223.96, "spacegroup": "P1 (1)", "magnetic_moment_mub_per_fu": 0.00, "formation_enthalpy_0k_kj_per_mol_atoms": -202.9, "e_above_lowest_polymorph_mev_per_atom": 2}



No. 2
{"formula": "Li4MnV3P8O28", "functional": "PBE+U", "state": "optimized geometry", "lattice": [[4.867, 0.000, 0.000], [2.273, 6.678, 0.000], [0.119, 0.146, 16.586]], "species": ["Li", "Li", "Li", "Li", "Mn", "V", "V", "V", "P", "P", "P", "P", "P", "P", "P", "P", "O", "O", "O", "O", "O", "O", "O", "O", "O", "O", "O", "O", "O", "O", "O", "O", "O", "O", "O", "O", "O", "O", "O", "O", "O", "O", "O", "O"], "frac_coords": [[0.000, 0.000, 0.000], [0.001, 0.001, 0.499], [0.352, 0.651, 0.251], [0.354, 0.651, 0.750], [0.962, 0.057, 0.319], [0.391, 0.597, 0.069], [0.394, 0.599, 0.569], [0.961, 0.054, 0.819], [0.391, 0.237, 0.212], [0.391, 0.240, 0.711], [0.577, 0.803, 0.909], [0.580, 0.804, 0.408], [0.778, 0.848, 0.660], [0.779, 0.843, 0.160], [0.965, 0.411, 0.962], [0.968, 0.412, 0.463], [0.045, 0.212, 0.918], [0.052, 0.211, 0.421], [0.119, 0.180, 0.232], [0.127, 0.177, 0.731], [0.227, 0.474, 0.982], [0.227, 0.479, 0.482], [0.309, 0.437, 0.167], [0.310, 0.441, 0.668], [0.364, 0.844, 0.838], [0.367, 0.843, 0.337], [0.424, 0.819, 0.991], [0.428, 0.820, 0.490], [0.570, 0.720, 0.157], [0.573, 0.242, 0.286], [0.574, 0.721, 0.658], [0.575, 0.241, 0.786], [0.583, 0.076, 0.147], [0.583, 0.080, 0.646], [0.774, 0.573, 0.896], [0.776, 0.573, 0.396], [0.778, 0.409, 0.036], [0.778, 0.412, 0.538], [0.781, 0.930, 0.908], [0.781, 0.934, 0.407], [0.930, 0.831, 0.741], [0.932, 0.820, 0.240], [0.989, 0.808, 0.087], [0.992, 0.809, 0.588]], "e_tot_ev_per_cell": -318.35, "spacegroup": "P1 (1)", "magnetic_moment_mub_per_fu": 10.00, "formation_enthalpy_0k_kj_per_mol_atoms": -259.8, "e_above_lowest_polymorph_mev_per_atom": 0}



No. 3
{"formula": "MgCrSbO4", "functional": "PBE+U", "state": "optimized geometry", "lattice": [[5.238, 0.000, 0.000], [0.000, 3.145, 0.000], [-1.501, 0.000, 5.440]], "species": ["Mg", "Cr", "Sb", "O", "O", "O", "O"], "frac_coords": [[0.000, 0.000, 0.000], [0.500, 0.500, 0.000], [0.500, 0.000, 0.500], [0.245, 0.500, 0.214], [0.293, 0.000, 0.808], [0.707, 0.000, 0.192], [0.755, 0.500, 0.786]], "e_tot_ev_per_cell": -45.32, "spacegroup": "P2/m (10)", "magnetic_moment_mub_per_fu": 3.00, "formation_enthalpy_0k_kj_per_mol_atoms": -205.3, "e_above_lowest_polymorph_mev_per_atom": 0}



No. 4
{"formula": "RbCr4BiO14", "functional": "PBE+U", "state": "optimized geometry", "lattice": [[8.920, 0.000, 0.000], [0.000, 17.237, 0.000], [-0.226, 0.000, 8.416]], "species": ["Rb", "Rb", "Rb", "Rb", "Cr", "Cr", "Cr", "Cr", "Cr", "Cr", "Cr", "Cr", "Cr", "Cr", "Cr", "Cr", "Cr", "Cr", "Cr", "Cr", "Bi", "Bi", "Bi", "Bi", "O", "O", "O", "O", "O", "O", "O", "O", "O", "O", "O", "O", "O", "O", "O", "O", "O", "O", "O", "O", "O", "O", "O", "O", "O", "O", "O", "O", "O", "O", "O", "O", "O", "O", "O", "O", "O", "O", "O", "O", "O", "O", "O", "O", "O", "O", "O", "O", "O", "O", "O", "O", "O", "O", "O", "O"], "frac_coords": [[0.002, 0.123, 0.254], [0.002, 0.377, 0.754], [0.998, 0.623, 0.246], [0.998, 0.877, 0.746], [0.230, 0.053, 0.631], [0.230, 0.447, 0.131], [0.264, 0.705, 0.835], [0.264, 0.795, 0.335], [0.288, 0.184, 0.917], [0.288, 0.316, 0.417], [0.295, 0.559, 0.590], [0.295, 0.941, 0.090], [0.705, 0.059, 0.910], [0.705, 0.441, 0.410], [0.712, 0.684, 0.583], [0.712, 0.816, 0.083], [0.736, 0.205, 0.665], [0.736, 0.295, 0.165], [0.770, 0.553, 0.869], [0.770, 0.947, 0.369], [0.496, 0.124, 0.291], [0.496, 0.376, 0.791], [0.504, 0.624, 0.209], [0.504, 0.876, 0.709], [0.050, 0.050, 0.641], [0.050, 0.450, 0.141], [0.118, 0.707, 0.944], [0.118, 0.793, 0.444], [0.127, 0.222, 0.877], [0.127, 0.278, 0.377], [0.158, 0.515, 0.499], [0.158, 0.985, 0.999], [0.220, 0.646, 0.667], [0.220, 0.854, 0.167], [0.277, 0.102, 0.470], [0.277, 0.398, 0.970], [0.298, 0.537, 0.131], [0.298, 0.963, 0.631], [0.299, 0.160, 0.110], [0.299, 0.340, 0.610], [0.302, 0.705, 0.275], [0.302, 0.795, 0.775], [0.309, 0.100, 0.800], [0.309, 0.400, 0.300], [0.367, 0.503, 0.732], [0.367, 0.997, 0.232], [0.405, 0.666, 0.934], [0.405, 0.834, 0.434], [0.422, 0.245, 0.869], [0.422, 0.255, 0.369], [0.426, 0.582, 0.462], [0.426, 0.918, 0.962], [0.574, 0.082, 0.038], [0.574, 0.418, 0.538], [0.578, 0.745, 0.631], [0.578, 0.755, 0.131], [0.595, 0.166, 0.566], [0.595, 0.334, 0.066], [0.633, 0.003, 0.768], [0.633, 0.497, 0.268], [0.691, 0.600, 0.700], [0.691, 0.900, 0.200], [0.698, 0.205, 0.225], [0.698, 0.295, 0.725], [0.701, 0.660, 0.390], [0.701, 0.840, 0.890], [0.702, 0.037, 0.369], [0.702, 0.463, 0.869], [0.723, 0.602, 0.030], [0.723, 0.898, 0.530], [0.780, 0.146, 0.833], [0.780, 0.354, 0.333], [0.842, 0.015, 0.001], [0.842, 0.485, 0.501], [0.873, 0.722, 0.623], [0.873, 0.778, 0.123], [0.882, 0.207, 0.556], [0.882, 0.293, 0.056], [0.950, 0.550, 0.859], [0.950, 0.950, 0.359]], "e_tot_ev_per_cell": -517.66, "spacegroup": "P2_1/c (14)", "magnetic_moment_mub_per_fu": 0.00, "formation_enthalpy_0k_kj_per_mol_atoms": -165.3}



No. 5
{"formula": "MgTiV2CrO10", "functional": "PBE+U", "state": "optimized geometry", "lattice": [[5.454, 0.000, 0.000], [0.000, 6.566, 0.000], [-0.208, 0.000, 6.673]], "species": ["Mg", "Ti", "V", "V", "Cr", "O", "O", "O", "O", "O", "O", "O", "O", "O", "O"], "frac_coords": [[0.000, 0.000, 0.000], [0.565, 0.000, 0.190], [0.502, 0.000, 0.695], [0.705, 0.500, 0.163], [0.611, 0.500, 0.675], [0.350, 0.000, 0.964], [0.406, 0.500, 0.150], [0.409, 0.000, 0.421], [0.429, 0.296, 0.687], [0.429, 0.704, 0.687], [0.766, 0.500, 0.464], [0.793, 0.204, 0.155], [0.793, 0.796, 0.155], [0.807, 0.000, 0.741], [0.808, 0.500, 0.872]], "e_tot_ev_per_cell": -110.89, "spacegroup": "Pm (6)", "magnetic_moment_mub_per_fu": 2.00, "formation_enthalpy_0k_kj_per_mol_atoms": -233.9, "e_above_lowest_polymorph_mev_per_atom": 96}



No. 6
{"formula": "Sr2EuWO6", "functional": "PBE+U", "state": "optimized geometry", "lattice": [[0.000, 4.306, 4.306], [4.306, 0.000, 4.306], [4.306, 4.306, 0.000]], "species": ["Sr", "Sr", "Eu", "W", "O", "O", "O", "O", "O", "O"], "frac_coords": [[0.250, 0.250, 0.250], [0.750, 0.750, 0.750], [0.000, 0.000, 0.000], [0.500, 0.500, 0.500], [0.271, 0.271, 0.729], [0.271, 0.729, 0.271], [0.271, 0.729, 0.729], [0.729, 0.271, 0.271], [0.729, 0.271, 0.729], [0.729, 0.729, 0.271]], "e_tot_ev_per_cell": -76.60, "spacegroup": "Fm-3m (225)", "magnetic_moment_mub_per_fu": 7.00, "formation_enthalpy_0k_kj_per_mol_atoms": -278.7}



No. 7
{"formula": "Li24MnCr11O36", "functional": "PBE+U", "state": "optimized geometry", "lattice": [[7.582, -4.357, 0.000], [7.582, 4.357, 0.000], [-6.644, 0.000, 9.632]], "species": ["Li", "Li", "Li", "Li", "Li", "Li", "Li", "Li", "Li", "Li", "Li", "Li", "Li", "Li", "Li", "Li", "Li", "Li", "Li", "Li", "Li", "Li", "Li", "Li", "Mn", "Cr", "Cr", "Cr", "Cr", "Cr", "Cr", "Cr", "Cr", "Cr", "Cr", "Cr", "O", "O", "O", "O", "O", "O", "O", "O", "O", "O", "O", "O", "O", "O", "O", "O", "O", "O", "O", "O", "O", "O", "O", "O", "O", "O", "O", "O", "O", "O", "O", "O", "O", "O", "O", "O"], "frac_coords": [[0.000, 0.000, 0.000], [0.001, 0.999, 0.500], [0.004, 0.326, 0.748], [0.004, 0.995, 0.751], [0.005, 0.996, 0.249], [0.007, 0.328, 0.251], [0.327, 0.005, 0.248], [0.328, 0.007, 0.752], [0.334, 0.331, 0.002], [0.335, 0.331, 0.751], [0.337, 0.330, 0.499], [0.337, 0.333, 0.248], [0.340, 0.656, 0.249], [0.344, 0.660, 0.751], [0.660, 0.334, 0.745], [0.666, 0.340, 0.255], [0.667, 0.663, 0.752], [0.669, 0.665, 0.249], [0.669, 0.666, 0.998], [0.670, 0.663, 0.501], [0.672, 0.993, 0.749], [0.674, 0.996, 0.252], [0.993, 0.672, 0.248], [0.995, 0.673, 0.752], [0.667, 0.333, 0.500], [0.003, 0.325, 0.999], [0.003, 0.657, 0.001], [0.006, 0.330, 0.502], [0.328, 0.672, 0.000], [0.330, 0.670, 0.500], [0.339, 0.003, 0.501], [0.343, 0.997, 0.999], [0.662, 0.338, 0.000], [0.670, 0.994, 0.498], [0.675, 0.997, 0.001], [0.997, 0.661, 0.499], [0.141, 0.497, 0.613], [0.146, 0.498, 0.112], [0.159, 0.524, 0.888], [0.160, 0.521, 0.385], [0.167, 0.156, 0.384], [0.168, 0.154, 0.886], [0.170, 0.172, 0.114], [0.174, 0.164, 0.616], [0.174, 0.807, 0.113], [0.175, 0.805, 0.614], [0.193, 0.826, 0.887], [0.195, 0.825, 0.386], [0.476, 0.841, 0.112], [0.479, 0.840, 0.615], [0.497, 0.496, 0.885], [0.500, 0.146, 0.612], [0.500, 0.495, 0.388], [0.502, 0.854, 0.888], [0.503, 0.859, 0.387], [0.504, 0.139, 0.112], [0.504, 0.503, 0.115], [0.505, 0.500, 0.612], [0.525, 0.166, 0.388], [0.525, 0.167, 0.889], [0.810, 0.164, 0.114], [0.813, 0.167, 0.611], [0.828, 0.830, 0.886], [0.833, 0.187, 0.389], [0.833, 0.475, 0.111], [0.834, 0.475, 0.612], [0.836, 0.190, 0.886], [0.836, 0.826, 0.384], [0.844, 0.833, 0.616], [0.846, 0.832, 0.114], [0.854, 0.500, 0.388], [0.861, 0.496, 0.888]], "e_tot_ev_per_cell": -451.02, "spacegroup": "C2 (5)", "magnetic_moment_mub_per_fu": 25.00, "formation_enthalpy_0k_kj_per_mol_atoms": -214.6, "e_above_lowest_polymorph_mev_per_atom": 7}



No. 8
{"formula": "CsVSO6", "functional": "PBE+U", "state": "optimized geometry", "lattice": [[6.691, 0.000, 0.000], [0.000, 10.871, 0.000], [0.000, 0.000, 17.876]], "species": ["Cs", "Cs", "Cs", "Cs", "Cs", "Cs", "Cs", "Cs", "V", "V", "V", "V", "V", "V", "V", "V", "S", "S", "S", "S", "S", "S", "S", "S", "O", "O", "O", "O", "O", "O", "O", "O", "O", "O", "O", "O", "O", "O", "O", "O", "O", "O", "O", "O", "O", "O", "O", "O", "O", "O", "O", "O", "O", "O", "O", "O", "O", "O", "O", "O", "O", "O", "O", "O", "O", "O", "O", "O", "O", "O", "O", "O"], "frac_coords": [[0.250, 0.021, 0.089], [0.250, 0.479, 0.589], [0.250, 0.521, 0.089], [0.250, 0.979, 0.589], [0.750, 0.021, 0.411], [0.750, 0.479, 0.911], [0.750, 0.521, 0.411], [0.750, 0.979, 0.911], [0.005, 0.224, 0.752], [0.005, 0.276, 0.252], [0.495, 0.724, 0.752], [0.495, 0.776, 0.252], [0.505, 0.224, 0.748], [0.505, 0.276, 0.248], [0.995, 0.724, 0.748], [0.995, 0.776, 0.248], [0.239, 0.721, 0.903], [0.239, 0.779, 0.403], [0.261, 0.221, 0.903], [0.261, 0.279, 0.403], [0.739, 0.721, 0.597], [0.739, 0.779, 0.097], [0.761, 0.221, 0.597], [0.761, 0.279, 0.097], [0.003, 0.075, 0.753], [0.003, 0.425, 0.253], [0.055, 0.745, 0.356], [0.055, 0.755, 0.856], [0.077, 0.240, 0.357], [0.077, 0.260, 0.857], [0.234, 0.706, 0.471], [0.234, 0.794, 0.971], [0.243, 0.588, 0.914], [0.243, 0.719, 0.227], [0.243, 0.781, 0.727], [0.243, 0.912, 0.414], [0.257, 0.088, 0.914], [0.257, 0.219, 0.227], [0.257, 0.281, 0.727], [0.257, 0.412, 0.414], [0.266, 0.206, 0.471], [0.266, 0.294, 0.971], [0.423, 0.740, 0.357], [0.423, 0.760, 0.857], [0.445, 0.245, 0.356], [0.445, 0.255, 0.856], [0.497, 0.575, 0.753], [0.497, 0.925, 0.253], [0.503, 0.075, 0.747], [0.503, 0.425, 0.247], [0.555, 0.745, 0.144], [0.555, 0.755, 0.644], [0.577, 0.240, 0.143], [0.577, 0.260, 0.643], [0.734, 0.706, 0.029], [0.734, 0.794, 0.529], [0.743, 0.588, 0.586], [0.743, 0.719, 0.273], [0.743, 0.781, 0.773], [0.743, 0.912, 0.086], [0.757, 0.088, 0.586], [0.757, 0.219, 0.273], [0.757, 0.281, 0.773], [0.757, 0.412, 0.086], [0.766, 0.206, 0.029], [0.766, 0.294, 0.529], [0.923, 0.740, 0.143], [0.923, 0.760, 0.643], [0.945, 0.245, 0.144], [0.945, 0.255, 0.644], [0.997, 0.575, 0.747], [0.997, 0.925, 0.247]], "e_tot_ev_per_cell": -463.37, "spacegroup": "Pbca (61)", "magnetic_moment_mub_per_fu": 0.00, "formation_enthalpy_0k_kj_per_mol_atoms": -213.8, "e_above_lowest_polymorph_mev_per_atom": 0}



No. 9
{"formula": "Li4Ti3V3Fe2O16", "functional": "PBE+U", "state": "optimized geometry", "lattice": [[5.120, -2.942, 0.000], [5.120, 2.942, 0.000], [-0.070, 0.000, 9.712]], "species": ["Li", "Li", "Li", "Li", "Ti", "Ti", "Ti", "V", "V", "V", "Fe", "Fe", "O", "O", "O", "O", "O", "O", "O", "O", "O", "O", "O", "O", "O", "O", "O", "O"], "frac_coords": [[0.000, 0.000, 0.000], [0.002, 0.002, 0.496], [0.332, 0.332, 0.393], [0.667, 0.667, 0.894], [0.168, 0.658, 0.720], [0.658, 0.168, 0.720], [0.832, 0.832, 0.223], [0.170, 0.170, 0.713], [0.347, 0.821, 0.213], [0.821, 0.347, 0.213], [0.330, 0.330, 0.997], [0.666, 0.666, 0.496], [0.001, 0.001, 0.815], [0.002, 0.002, 0.311], [0.039, 0.479, 0.835], [0.159, 0.159, 0.110], [0.169, 0.671, 0.106], [0.325, 0.844, 0.607], [0.338, 0.338, 0.604], [0.479, 0.039, 0.835], [0.482, 0.482, 0.835], [0.516, 0.516, 0.336], [0.520, 0.959, 0.335], [0.671, 0.169, 0.106], [0.671, 0.671, 0.101], [0.839, 0.839, 0.605], [0.844, 0.325, 0.607], [0.959, 0.520, 0.335]], "e_tot_ev_per_cell": -207.95, "spacegroup": "Cm (8)", "magnetic_moment_mub_per_fu": 15.00, "formation_enthalpy_0k_kj_per_mol_atoms": -254.5, "e_above_lowest_polymorph_mev_per_atom": 16}